Entry from the Materials Project: an optimized crystal structure of PbSeO4 (meta-GGA r2SCAN).

Geometry as CIF:
```
data_PbSeO4
_symmetry_space_group_name_H-M 'P 1'
_symmetry_Int_Tables_number 1
_symmetry_space_group_name_Hall 'P 1'
_cell_length_a 7.434
_cell_length_b 6.978
_cell_length_c 8.785
_cell_angle_alpha 52.71
_cell_angle_beta 90.00
_cell_angle_gamma 90.00
loop_
_atom_site_label
_atom_site_type_symbol
_atom_site_fract_x
_atom_site_fract_y
_atom_site_fract_z
Se1 Se 0.164 0.687 0.195
Se2 Se 0.836 0.313 0.805
Se3 Se 0.664 0.313 0.305
Se4 Se 0.336 0.687 0.695
Pb1 Pb 0.852 0.812 0.784
Pb2 Pb 0.648 0.812 0.284
Pb3 Pb 0.352 0.188 0.716
Pb4 Pb 0.148 0.188 0.216
O1 O 0.496 0.812 0.738
O2 O 0.996 0.188 0.762
O3 O 0.158 0.867 0.618
O4 O 0.609 0.344 0.473
O5 O 0.504 0.188 0.262
O6 O 0.004 0.812 0.238
O7 O 0.792 0.594 0.618
O8 O 0.109 0.656 0.027
O9 O 0.708 0.594 0.118
O10 O 0.891 0.344 0.973
O11 O 0.208 0.406 0.382
O12 O 0.342 0.867 0.118
O13 O 0.658 0.133 0.882
O14 O 0.391 0.656 0.527
O15 O 0.842 0.133 0.382
O16 O 0.292 0.406 0.882
```

Results
DFT formation energy = -101.0 kJ per mole of atoms